Record 1
Compound: Ca2YWO5
Source: Materials Project
Functional: PBE with a Hubbard U
Structure: relaxed

Geometry as extended XYZ:
```
18
Lattice="-2.327 -7.741 3.321 2.435 -8.390 -0.238 3.325 -1.147 4.657" Properties=species:S:1:pos:R:3 pbc="T T T"
O 0.376 -6.452 3.072
O 0.721 -12.922 3.369
O 0.622 -8.598 5.970
O 2.555 -4.278 4.394
O 1.079 -3.730 1.927
O 2.344 -8.485 1.111
O 2.430 -13.502 5.663
O -0.368 -9.886 2.693
O 3.359 -7.205 4.413
O 2.606 -10.638 4.041
Y 4.145 -9.174 4.219
Y -0.359 -8.213 4.014
Ca 2.500 -6.366 2.203
Ca 1.086 -10.940 5.742
Ca 1.600 -10.662 1.788
Ca 1.981 -6.642 6.163
W 2.155 -13.045 7.781
W 2.882 -12.797 3.667
```

**Calculated formation energy**: -2.82 eV/atom
**SG**: Cc


Record 2
Compound: CoPO4
Source: Materials Project
Functional: PBE with a Hubbard U
Structure: relaxed

Geometry as extended XYZ:
```
24
Lattice="5.031 0.000 0.000 0.000 6.945 0.000 0.000 0.000 10.305" Properties=species:S:1:pos:R:3 pbc="T T T"
P 3.769 6.826 8.545
P 1.253 0.119 1.759
P 3.769 3.591 3.393
P 1.253 3.354 6.912
O 0.261 0.138 8.578
O 0.933 2.103 6.033
O 0.827 3.053 8.373
O 0.517 4.606 6.383
O 3.343 6.525 7.084
O 0.827 0.419 3.221
O 2.776 6.806 1.727
O 3.033 2.338 3.922
O 3.033 1.134 9.074
O 3.449 5.575 9.425
O 3.449 4.842 4.272
O 0.517 5.811 1.231
O 3.343 3.892 1.932
O 0.261 3.334 3.425
O 2.776 3.611 6.880
O 0.933 1.369 0.880
Co 3.735 5.012 6.094
Co 1.219 1.933 4.211
Co 3.735 5.405 0.942
Co 1.219 1.540 9.363
```

**Calculated formation energy**: -2.08 eV/atom
**SG**: Pna2_1